[1]
Material: NaH2CSO4F3
Method: DFT, PBE-GGA
State: relaxed

abc: 10.270 7.524 10.708
angles: 90.00 111.25 90.00
Fractional coordinates of all 48 atoms:
Na: 0.002 0.031 0.269
Na: 0.002 0.469 0.769
Na: 0.998 0.531 0.231
Na: 0.998 0.969 0.731
H: 0.279 0.740 0.417
H: 0.279 0.760 0.917
H: 0.335 0.739 0.486
H: 0.335 0.761 0.986
H: 0.665 0.239 0.014
H: 0.665 0.261 0.514
H: 0.721 0.240 0.083
H: 0.721 0.260 0.583
C: 0.357 0.191 0.605
C: 0.357 0.309 0.105
C: 0.643 0.691 0.895
C: 0.643 0.809 0.395
S: 0.194 0.172 0.063
S: 0.194 0.328 0.563
S: 0.806 0.672 0.437
S: 0.806 0.828 0.937
O: 0.021 0.738 0.884
O: 0.021 0.762 0.384
O: 0.110 0.206 0.924
O: 0.110 0.294 0.424
O: 0.136 0.225 0.663
O: 0.136 0.275 0.163
O: 0.234 0.506 0.607
O: 0.234 0.994 0.107
O: 0.766 0.006 0.893
O: 0.766 0.494 0.393
O: 0.864 0.725 0.837
O: 0.864 0.775 0.337
O: 0.890 0.706 0.576
O: 0.890 0.794 0.076
O: 0.979 0.238 0.616
O: 0.979 0.262 0.116
F: 0.325 0.017 0.596
F: 0.325 0.483 0.096
F: 0.418 0.233 0.517
F: 0.418 0.267 0.017
F: 0.444 0.229 0.730
F: 0.444 0.271 0.230
F: 0.556 0.729 0.770
F: 0.556 0.771 0.270
F: 0.582 0.733 0.983
F: 0.582 0.767 0.483
F: 0.675 0.517 0.904
F: 0.675 0.983 0.404

Results
* volume: 771 Å³/cell
* ΔE to the lowest computed polymorph: 555 meV/atom
* E_form: -119.1 kJ/mol of atoms
* magnetization: 0.0 μB/cell


[2]
Material: NaH2CSO4F3
Method: DFT, PBE-GGA
State: relaxed

abc: 6.536 5.497 17.692
angles: 90.00 90.00 90.00
Fractional coordinates of all 48 atoms:
Na: 0.065 0.250 0.237
Na: 0.435 0.750 0.737
Na: 0.565 0.250 0.263
Na: 0.935 0.750 0.763
H: 0.245 0.106 0.375
H: 0.245 0.394 0.375
H: 0.255 0.606 0.875
H: 0.255 0.894 0.875
H: 0.745 0.106 0.125
H: 0.745 0.394 0.125
H: 0.755 0.606 0.625
H: 0.755 0.894 0.625
C: 0.223 0.750 0.071
C: 0.277 0.250 0.571
C: 0.723 0.750 0.429
C: 0.777 0.250 0.929
S: 0.112 0.250 0.657
S: 0.388 0.750 0.157
S: 0.612 0.250 0.843
S: 0.888 0.750 0.343
O: 0.096 0.750 0.373
O: 0.171 0.027 0.696
O: 0.171 0.473 0.696
O: 0.213 0.750 0.847
O: 0.287 0.250 0.347
O: 0.329 0.527 0.196
O: 0.329 0.973 0.196
O: 0.404 0.250 0.873
O: 0.596 0.750 0.127
O: 0.671 0.027 0.804
O: 0.671 0.473 0.804
O: 0.713 0.750 0.653
O: 0.787 0.250 0.153
O: 0.829 0.527 0.304
O: 0.829 0.973 0.304
O: 0.904 0.250 0.627
F: 0.022 0.750 0.091
F: 0.240 0.050 0.528
F: 0.240 0.450 0.528
F: 0.260 0.550 0.028
F: 0.260 0.950 0.028
F: 0.478 0.250 0.591
F: 0.522 0.750 0.409
F: 0.740 0.050 0.972
F: 0.740 0.450 0.972
F: 0.760 0.550 0.472
F: 0.760 0.950 0.472
F: 0.978 0.250 0.909

Results
* volume: 636 Å³/cell
* ΔE to the lowest computed polymorph: 0 meV/atom
* E_form: -172.7 kJ/mol of atoms
* magnetization: 0.0 μB/cell


[3]
Material: NdH10C21O11F15
Method: DFT, PBE-GGA
State: relaxed

abc: 7.831 9.561 18.332
angles: 82.35 84.40 88.26
Fractional coordinates of all 116 atoms:
Nd: 0.015 0.297 0.084
Nd: 0.985 0.703 0.916
H: 0.104 0.019 0.921
H: 0.129 0.360 0.231
H: 0.272 0.952 0.885
H: 0.302 0.473 0.997
H: 0.310 0.366 0.184
H: 0.343 0.707 0.979
H: 0.364 0.649 0.900
H: 0.374 0.312 0.003
H: 0.470 0.864 0.060
H: 0.498 0.111 0.028
H: 0.502 0.889 0.972
H: 0.530 0.136 0.940
H: 0.626 0.688 0.997
H: 0.636 0.351 0.100
H: 0.657 0.293 0.021
H: 0.690 0.634 0.816
H: 0.698 0.527 0.003
H: 0.728 0.048 0.115
H: 0.871 0.640 0.769
H: 0.896 0.981 0.079
C: 0.025 0.310 0.915
C: 0.035 0.307 0.833
C: 0.059 0.317 0.678
C: 0.102 0.682 0.281
C: 0.112 0.688 0.205
C: 0.134 0.011 0.354
C: 0.154 0.026 0.277
C: 0.194 0.306 0.791
C: 0.206 0.672 0.647
C: 0.207 0.311 0.715
C: 0.227 0.673 0.571
C: 0.278 0.995 0.394
C: 0.316 0.026 0.236
C: 0.320 0.663 0.775
C: 0.336 0.049 0.152
C: 0.345 0.663 0.691
C: 0.391 0.666 0.535
C: 0.441 0.992 0.355
C: 0.458 0.007 0.278
C: 0.468 0.343 0.424
C: 0.492 0.345 0.348
C: 0.508 0.655 0.652
C: 0.532 0.657 0.576
C: 0.542 0.993 0.722
C: 0.559 0.008 0.645
C: 0.609 0.334 0.465
C: 0.655 0.337 0.309
C: 0.664 0.951 0.848
C: 0.680 0.337 0.225
C: 0.684 0.974 0.764
C: 0.722 0.005 0.606
C: 0.773 0.327 0.429
C: 0.793 0.689 0.285
C: 0.794 0.328 0.353
C: 0.806 0.694 0.209
C: 0.846 0.974 0.723
C: 0.866 0.989 0.646
C: 0.888 0.312 0.795
C: 0.898 0.318 0.719
C: 0.941 0.683 0.322
C: 0.965 0.693 0.167
C: 0.975 0.690 0.085
O: 0.001 0.572 0.060
O: 0.044 0.195 0.957
O: 0.152 0.933 0.902
O: 0.166 0.668 0.803
O: 0.185 0.373 0.181
O: 0.211 0.105 0.119
O: 0.291 0.644 0.949
O: 0.296 0.379 0.028
O: 0.450 0.658 0.811
O: 0.477 0.011 0.118
O: 0.478 0.815 0.015
O: 0.522 0.185 0.985
O: 0.523 0.989 0.882
O: 0.550 0.342 0.189
O: 0.704 0.621 0.972
O: 0.709 0.356 0.051
O: 0.789 0.895 0.881
O: 0.815 0.627 0.819
O: 0.834 0.332 0.197
O: 0.848 0.067 0.098
O: 0.956 0.805 0.043
O: 0.999 0.428 0.940
F: 0.008 0.039 0.244
F: 0.024 0.989 0.610
F: 0.041 0.679 0.676
F: 0.070 0.323 0.604
F: 0.089 0.682 0.532
F: 0.246 0.677 0.317
F: 0.261 0.981 0.468
F: 0.269 0.690 0.167
F: 0.308 0.351 0.459
F: 0.339 0.304 0.826
F: 0.346 0.355 0.314
F: 0.363 0.310 0.676
F: 0.379 0.993 0.754
F: 0.412 0.668 0.461
F: 0.419 0.023 0.607
F: 0.581 0.977 0.393
F: 0.588 0.332 0.539
F: 0.621 0.007 0.246
F: 0.637 0.690 0.324
F: 0.654 0.645 0.686
F: 0.661 0.696 0.174
F: 0.692 0.649 0.541
F: 0.731 0.310 0.833
F: 0.739 0.019 0.532
F: 0.754 0.323 0.683
F: 0.911 0.318 0.468
F: 0.930 0.677 0.396
F: 0.959 0.321 0.324
F: 0.976 0.011 0.390
F: 0.992 0.961 0.756

Results
* volume: 1354 Å³/cell
* E_form: -119.3 kJ/mol of atoms
* magnetization: 0.0 μB/cell


[4]
Material: NdH18C3S3O18F9
Method: DFT, PBE-GGA
State: relaxed

abc: 14.083 14.083 7.373
angles: 90.00 90.00 120.00
Fractional coordinates of all 104 atoms:
Nd: 0.333 0.667 0.250
Nd: 0.667 0.333 0.750
H: 0.099 0.646 0.143
H: 0.099 0.646 0.357
H: 0.129 0.494 0.036
H: 0.129 0.494 0.464
H: 0.230 0.507 0.577
H: 0.230 0.507 0.923
H: 0.277 0.770 0.577
H: 0.277 0.770 0.923
H: 0.354 0.453 0.143
H: 0.354 0.453 0.357
H: 0.365 0.871 0.036
H: 0.365 0.871 0.464
H: 0.453 0.099 0.643
H: 0.453 0.099 0.857
H: 0.493 0.723 0.577
H: 0.493 0.723 0.923
H: 0.494 0.365 0.536
H: 0.494 0.365 0.964
H: 0.506 0.635 0.036
H: 0.506 0.635 0.464
H: 0.507 0.277 0.077
H: 0.507 0.277 0.423
H: 0.547 0.901 0.143
H: 0.547 0.901 0.357
H: 0.635 0.129 0.536
H: 0.635 0.129 0.964
H: 0.646 0.547 0.643
H: 0.646 0.547 0.857
H: 0.723 0.230 0.077
H: 0.723 0.230 0.423
H: 0.770 0.493 0.077
H: 0.770 0.493 0.423
H: 0.871 0.506 0.536
H: 0.871 0.506 0.964
H: 0.901 0.354 0.643
H: 0.901 0.354 0.857
C: 0.006 0.777 0.750
C: 0.223 0.229 0.750
C: 0.229 0.006 0.250
C: 0.771 0.994 0.750
C: 0.777 0.771 0.250
C: 0.994 0.223 0.250
S: 0.059 0.679 0.750
S: 0.321 0.380 0.750
S: 0.380 0.059 0.250
S: 0.620 0.941 0.750
S: 0.679 0.620 0.250
S: 0.941 0.321 0.250
O: 0.016 0.616 0.582
O: 0.016 0.616 0.918
O: 0.144 0.654 0.250
O: 0.179 0.751 0.750
O: 0.207 0.545 0.009
O: 0.207 0.545 0.491
O: 0.249 0.428 0.750
O: 0.338 0.793 0.009
O: 0.338 0.793 0.491
O: 0.346 0.490 0.250
O: 0.384 0.399 0.582
O: 0.384 0.399 0.918
O: 0.399 0.016 0.082
O: 0.399 0.016 0.418
O: 0.428 0.179 0.250
O: 0.455 0.662 0.009
O: 0.455 0.662 0.491
O: 0.490 0.144 0.750
O: 0.510 0.856 0.250
O: 0.545 0.338 0.509
O: 0.545 0.338 0.991
O: 0.572 0.821 0.750
O: 0.601 0.984 0.582
O: 0.601 0.984 0.918
O: 0.616 0.601 0.082
O: 0.616 0.601 0.418
O: 0.654 0.510 0.750
O: 0.662 0.207 0.509
O: 0.662 0.207 0.991
O: 0.751 0.572 0.250
O: 0.793 0.455 0.509
O: 0.793 0.455 0.991
O: 0.821 0.249 0.250
O: 0.856 0.346 0.750
O: 0.984 0.384 0.082
O: 0.984 0.384 0.418
F: 0.040 0.841 0.601
F: 0.040 0.841 0.899
F: 0.106 0.280 0.250
F: 0.159 0.199 0.601
F: 0.159 0.199 0.899
F: 0.175 0.894 0.250
F: 0.199 0.040 0.101
F: 0.199 0.040 0.399
F: 0.280 0.175 0.750
F: 0.720 0.825 0.250
F: 0.801 0.960 0.601
F: 0.801 0.960 0.899
F: 0.825 0.106 0.750
F: 0.841 0.801 0.101
F: 0.841 0.801 0.399
F: 0.894 0.720 0.750
F: 0.960 0.159 0.101
F: 0.960 0.159 0.399

Results
* volume: 1266 Å³/cell
* E_form: -160.3 kJ/mol of atoms
* magnetization: 0.0 μB/cell


[5]
Material: PuH18C3S3O18F9
Method: DFT, PBE-GGA
State: relaxed

abc: 14.071 14.071 7.385
angles: 90.00 90.00 120.00
Fractional coordinates of all 104 atoms:
Pu: 0.333 0.667 0.250
Pu: 0.667 0.333 0.750
H: 0.098 0.455 0.142
H: 0.098 0.455 0.358
H: 0.130 0.637 0.035
H: 0.130 0.637 0.465
H: 0.231 0.724 0.579
H: 0.231 0.724 0.921
H: 0.276 0.506 0.579
H: 0.276 0.506 0.921
H: 0.357 0.902 0.142
H: 0.357 0.902 0.358
H: 0.363 0.493 0.035
H: 0.363 0.493 0.465
H: 0.455 0.357 0.642
H: 0.455 0.357 0.858
H: 0.493 0.130 0.535
H: 0.493 0.130 0.965
H: 0.494 0.769 0.579
H: 0.494 0.769 0.921
H: 0.506 0.231 0.079
H: 0.506 0.231 0.421
H: 0.507 0.870 0.035
H: 0.507 0.870 0.465
H: 0.545 0.643 0.142
H: 0.545 0.643 0.358
H: 0.637 0.507 0.535
H: 0.637 0.507 0.965
H: 0.643 0.098 0.642
H: 0.643 0.098 0.858
H: 0.724 0.494 0.079
H: 0.724 0.494 0.421
H: 0.769 0.276 0.079
H: 0.769 0.276 0.421
H: 0.870 0.363 0.535
H: 0.870 0.363 0.965
H: 0.902 0.545 0.642
H: 0.902 0.545 0.858
C: 0.006 0.229 0.750
C: 0.223 0.994 0.750
C: 0.229 0.223 0.250
C: 0.771 0.777 0.750
C: 0.777 0.006 0.250
C: 0.994 0.771 0.250
S: 0.058 0.380 0.750
S: 0.322 0.942 0.750
S: 0.380 0.322 0.250
S: 0.620 0.678 0.750
S: 0.678 0.058 0.250
S: 0.942 0.620 0.250
O: 0.015 0.399 0.582
O: 0.015 0.399 0.918
O: 0.143 0.491 0.250
O: 0.178 0.429 0.750
O: 0.208 0.663 0.007
O: 0.208 0.663 0.493
O: 0.251 0.822 0.750
O: 0.337 0.545 0.007
O: 0.337 0.545 0.493
O: 0.349 0.857 0.250
O: 0.385 0.985 0.582
O: 0.385 0.985 0.918
O: 0.399 0.385 0.082
O: 0.399 0.385 0.418
O: 0.429 0.251 0.250
O: 0.455 0.792 0.007
O: 0.455 0.792 0.493
O: 0.491 0.349 0.750
O: 0.509 0.651 0.250
O: 0.545 0.208 0.507
O: 0.545 0.208 0.993
O: 0.571 0.749 0.750
O: 0.601 0.615 0.582
O: 0.601 0.615 0.918
O: 0.615 0.015 0.082
O: 0.615 0.015 0.418
O: 0.651 0.143 0.750
O: 0.663 0.455 0.507
O: 0.663 0.455 0.993
O: 0.749 0.178 0.250
O: 0.792 0.337 0.507
O: 0.792 0.337 0.993
O: 0.822 0.571 0.250
O: 0.857 0.509 0.750
O: 0.985 0.601 0.082
O: 0.985 0.601 0.418
F: 0.041 0.200 0.601
F: 0.041 0.200 0.899
F: 0.105 0.825 0.250
F: 0.159 0.959 0.601
F: 0.159 0.959 0.899
F: 0.175 0.280 0.250
F: 0.200 0.159 0.101
F: 0.200 0.159 0.399
F: 0.280 0.105 0.750
F: 0.720 0.895 0.250
F: 0.800 0.841 0.601
F: 0.800 0.841 0.899
F: 0.825 0.720 0.750
F: 0.841 0.041 0.101
F: 0.841 0.041 0.399
F: 0.895 0.175 0.750
F: 0.959 0.800 0.101
F: 0.959 0.800 0.399

Results
* volume: 1266 Å³/cell
* E_form: -156.9 kJ/mol of atoms
* magnetization: 10.0 μB/cell